The following is a DFT calculation (meta-GGA r2SCAN) of an optimized crystal structure of MnO2.

Calculated values
Size of the total moment, μB/f.u.: 3.0
Space group: R-3m (166)
ΔH_f (0 K), eV/atom: -1.975
E, eV for the cell shown: -32.55

Lattice parameters (Å, degrees): 4.8717 4.8717 4.8717 34.10 34.10 34.10
With the nearest neighbours (Å) after each atom.
Fractional positions:
Mn  0.0000  0.0000  0.0000  6 O 1.90
O  0.2644  0.2644  0.2644  3 Mn 1.90
O  0.7356  0.7356  0.7356  3 Mn 1.90



The following is a DFT calculation (meta-GGA r2SCAN) of an optimized crystal structure of Pr3InO.

Calculated values
Size of the total moment, μB/f.u.: 0.0
Space group: Pm-3m (221)
ΔH_f (0 K), eV/atom: -1.564
E, eV for the cell shown: -124.58

Lattice parameters (Å, degrees): 5.0139 5.0139 5.0139 90.00 90.00 90.00
With the nearest neighbours (Å) after each atom.
Fractional positions:
Pr  0.0000  0.0000  0.5000  2 O 2.51
Pr  0.0000  0.5000  0.0000  2 O 2.51
Pr  0.5000  0.0000  0.0000  2 O 2.51
In  0.5000  0.5000  0.5000  12 Pr 3.55
O  0.0000  0.0000  0.0000  6 Pr 2.51



The following is a DFT calculation (meta-GGA r2SCAN) of an optimized crystal structure of KYH4C4O9.

Calculated values
Size of the total moment, μB/f.u.: 2.0
Space group: P1 (1)
ΔH_f (0 K), eV/atom: -1.283
E, eV for the cell shown: -158.07

Lattice parameters (Å, degrees): 6.3449 6.5786 6.7975 108.75 112.39 103.02
With the nearest neighbours (Å) after each atom.
Fractional positions:
K  0.0000  0.0000  0.0000  4 O 2.54-2.74
Y  0.8188  0.3121  0.5528  8 O 2.30-2.44
H  0.2347  0.5867  0.3182  1 C 1.10
H  0.4264  0.6841  0.8298  1 C 1.10
H  0.4341  0.1438  0.8831  1 C 1.10
H  0.7962  0.7063  0.2589  1 C 1.10
C  0.1939  0.5999  0.1520  1 H 1.10
C  0.4224  0.5202  0.7122  1 H 1.10
C  0.5366  0.1882  0.0738  1 H 1.10
C  0.8790  0.7838  0.4548  1 H 1.10
O  0.0432  0.4219  0.9560  1 C 1.26
O  0.2155  0.3493  0.5749  1 C 1.26
O  0.2997  0.7961  0.1659  1 C 1.27
O  0.4753  0.2993  0.2174  1 C 1.26
O  0.4941  0.0308  0.5379  1 O 2.13, 1 Y 2.38
O  0.6297  0.5240  0.7306  1 C 1.27
O  0.7151  0.1255  0.1451  1 C 1.27
O  0.8847  0.9819  0.5619  1 C 1.26
O  0.9631  0.6686  0.5583  1 C 1.26



The following is a DFT calculation (meta-GGA r2SCAN) of an optimized crystal structure of HgF2.

Calculated values
Size of the total moment, μB/f.u.: 0.0
Space group: Fm-3m (225)
ΔH_f (0 K), eV/atom: -1.573
Energy relative to the lowest polymorph listed for this composition, eV per atom: 0.0000
E, eV for the cell shown: -60.34

Lattice parameters (Å, degrees): 3.9289 3.9289 3.9289 60.00 60.00 60.00
With the nearest neighbours (Å) after each atom.
Fractional positions:
Hg  0.0000  0.0000  0.0000  8 F 2.41
F  0.2500  0.2500  0.2500  4 Hg 2.41
F  0.7500  0.7500  0.7500  4 Hg 2.41



The following is a DFT calculation (meta-GGA r2SCAN) of an optimized crystal structure of Pr3Ga2Ni6.

Calculated values
Size of the total moment, μB/f.u.: 0.8
Space group: Im-3m (229)
ΔH_f (0 K), eV/atom: -0.397
E, eV for the cell shown: -374.71

Lattice parameters (Å, degrees): 7.8276 7.8276 7.8276 109.47 109.47 109.47
With the nearest neighbours (Å) after each atom.
Fractional positions:
Pr  0.0000  0.2915  0.2915  8 Ni 2.84-3.04
Pr  0.0000  0.7085  0.7085  8 Ni 2.84-3.04
Pr  0.2915  0.0000  0.2915  8 Ni 2.84-3.04
Pr  0.2915  0.2915  0.0000  8 Ni 2.84-3.04
Pr  0.7085  0.0000  0.7085  8 Ni 2.84-3.04
Pr  0.7085  0.7085  0.0000  8 Ni 2.84-3.04
Ga  0.0000  0.0000  0.5000  6 Ni 2.50
Ga  0.0000  0.5000  0.0000  6 Ni 2.50
Ga  0.5000  0.0000  0.0000  6 Ni 2.50
Ga  0.5000  0.5000  0.5000  6 Ni 2.50
Ni  0.0000  0.3341  0.6659  2 Ga 2.50, 4 Ni 2.61
Ni  0.0000  0.6659  0.3341  2 Ga 2.50, 4 Ni 2.61
Ni  0.3318  0.6659  0.6659  2 Ga 2.50, 4 Ni 2.61
Ni  0.3341  0.0000  0.6659  2 Ga 2.50, 4 Ni 2.61
Ni  0.3341  0.3341  0.6682  2 Ga 2.50, 4 Ni 2.61
Ni  0.3341  0.6659  0.0000  2 Ga 2.50, 4 Ni 2.61
Ni  0.3341  0.6682  0.3341  2 Ga 2.50, 4 Ni 2.61
Ni  0.6659  0.0000  0.3341  2 Ga 2.50, 4 Ni 2.61
Ni  0.6659  0.3318  0.6659  2 Ga 2.50, 4 Ni 2.61
Ni  0.6659  0.3341  0.0000  2 Ga 2.50, 4 Ni 2.61
Ni  0.6659  0.6659  0.3318  2 Ga 2.50, 4 Ni 2.61
Ni  0.6682  0.3341  0.3341  2 Ga 2.50, 4 Ni 2.61



The following is a DFT calculation (meta-GGA r2SCAN) of an optimized crystal structure of Y3Al2Ni6.

Calculated values
Size of the total moment, μB/f.u.: 0.0
Space group: Im-3m (229)
ΔH_f (0 K), eV/atom: -0.528
E, eV for the cell shown: -304.21

Lattice parameters (Å, degrees): 7.6925 7.6925 7.6925 109.47 109.47 109.47
With the nearest neighbours (Å) after each atom.
Fractional positions:
Y  0.0000  0.2942  0.2942  8 Ni 2.78-2.98
Y  0.0000  0.7058  0.7058  8 Ni 2.78-2.98
Y  0.2942  0.0000  0.2942  8 Ni 2.78-2.98
Y  0.2942  0.2942  0.0000  8 Ni 2.78-2.98
Y  0.7058  0.0000  0.7058  8 Ni 2.78-2.98
Y  0.7058  0.7058  0.0000  8 Ni 2.78-2.98
Al  0.0000  0.0000  0.5000  6 Ni 2.45
Al  0.0000  0.5000  0.0000  6 Ni 2.45
Al  0.5000  0.0000  0.0000  6 Ni 2.45
Al  0.5000  0.5000  0.5000  6 Ni 2.45
Ni  0.0000  0.3331  0.6669  2 Al 2.45, 4 Ni 2.56
Ni  0.0000  0.6669  0.3331  2 Al 2.45, 4 Ni 2.56
Ni  0.3331  0.0000  0.6669  2 Al 2.45, 4 Ni 2.56
Ni  0.3331  0.3331  0.6661  2 Al 2.45, 4 Ni 2.56
Ni  0.3331  0.6661  0.3331  2 Al 2.45, 4 Ni 2.56
Ni  0.3331  0.6669  0.0000  2 Al 2.45, 4 Ni 2.56
Ni  0.3339  0.6669  0.6669  2 Al 2.45, 4 Ni 2.56
Ni  0.6661  0.3331  0.3331  2 Al 2.45, 4 Ni 2.56
Ni  0.6669  0.0000  0.3331  2 Al 2.45, 4 Ni 2.56
Ni  0.6669  0.3331  0.0000  2 Al 2.45, 4 Ni 2.56
Ni  0.6669  0.3339  0.6669  2 Al 2.45, 4 Ni 2.56
Ni  0.6669  0.6669  0.3339  2 Al 2.45, 4 Ni 2.56



The following is a DFT calculation (meta-GGA r2SCAN) of an optimized crystal structure of Li8Nd7Ge10.

Calculated values
Size of the total moment, μB/f.u.: 0.0
Space group: Cmmm (65)
ΔH_f (0 K), eV/atom: -0.785
E, eV for the cell shown: -383.36

Lattice parameters (Å, degrees): 17.0710 17.0710 4.4271 90.00 90.00 156.74
With the nearest neighbours (Å) after each atom.
Fractional positions:
Li  0.0443  0.3308  0.0000  4 Ge 2.58-2.71, 1 Li 2.58
Li  0.2347  0.3851  0.5000  1 Li 2.62, 4 Ge 2.65-2.74
Li  0.3308  0.0443  0.0000  4 Ge 2.58-2.71, 1 Li 2.58
Li  0.3851  0.2347  0.5000  1 Li 2.62, 4 Ge 2.65-2.74
Li  0.6149  0.7653  0.5000  1 Li 2.62, 4 Ge 2.65-2.74
Li  0.6692  0.9557  0.0000  4 Ge 2.58-2.71, 1 Li 2.58
Li  0.7653  0.6149  0.5000  1 Li 2.62, 4 Ge 2.65-2.74
Li  0.9557  0.6692  0.0000  4 Ge 2.58-2.71, 1 Li 2.58
Nd  0.0576  0.9424  0.0000  6 Li 3.13-3.14, 6 Ge 3.20
Nd  0.2207  0.7793  0.5000  9 Ge 3.12-3.32
Nd  0.3394  0.6606  0.5000  6 Ge 3.14, 6 Li 3.14
Nd  0.5000  0.5000  0.0000  6 Ge 3.10-3.14
Nd  0.6606  0.3394  0.5000  6 Ge 3.14, 6 Li 3.14
Nd  0.7793  0.2207  0.5000  9 Ge 3.12-3.32
Nd  0.9424  0.0576  0.0000  6 Li 3.13-3.14, 6 Ge 3.20
Ge  0.1026  0.5336  0.0000  2 Ge 2.49-2.50, 1 Li 2.58
Ge  0.1267  0.8733  0.5000  6 Li 2.62-2.74
Ge  0.1837  0.1837  0.5000  1 Ge 2.53, 2 Li 2.66
Ge  0.4062  0.5938  0.0000  6 Li 2.65-2.71
Ge  0.4664  0.8974  0.0000  2 Ge 2.49-2.50, 1 Li 2.58
Ge  0.5336  0.1026  0.0000  2 Ge 2.49-2.50, 1 Li 2.58
Ge  0.5938  0.4062  0.0000  6 Li 2.65-2.71
Ge  0.8163  0.8163  0.5000  1 Ge 2.53, 2 Li 2.66
Ge  0.8733  0.1267  0.5000  6 Li 2.62-2.74
Ge  0.8974  0.4664  0.0000  2 Ge 2.49-2.50, 1 Li 2.58



The following is a DFT calculation (meta-GGA r2SCAN) of an optimized crystal structure of Sc3P.

Calculated values
Size of the total moment, μB/f.u.: 0.0
Space group: Pnma (62)
ΔH_f (0 K), eV/atom: -0.873
E, eV for the cell shown: -186.77

Lattice parameters (Å, degrees): 6.7995 8.4626 5.7653 90.00 90.00 90.00
With the nearest neighbours (Å) after each atom.
Fractional positions:
Sc  0.0267  0.2500  0.1411  2 P 2.66-2.70
Sc  0.1747  0.0499  0.6505  3 P 2.69-2.87
Sc  0.1747  0.4501  0.6505  3 P 2.69-2.87
Sc  0.3253  0.5499  0.1505  3 P 2.69-2.87
Sc  0.3253  0.9501  0.1505  3 P 2.69-2.87
Sc  0.4733  0.7500  0.6411  2 P 2.66-2.70
Sc  0.5267  0.2500  0.3589  2 P 2.66-2.70
Sc  0.6747  0.0499  0.8495  3 P 2.69-2.87
Sc  0.6747  0.4501  0.8495  3 P 2.69-2.87
Sc  0.8253  0.5499  0.3495  3 P 2.69-2.87
Sc  0.8253  0.9501  0.3495  3 P 2.69-2.87
Sc  0.9733  0.7500  0.8589  2 P 2.66-2.70
P  0.1266  0.7500  0.4264  8 Sc 2.66-2.87
P  0.3734  0.2500  0.9264  8 Sc 2.66-2.87
P  0.6266  0.7500  0.0736  8 Sc 2.66-2.87
P  0.8734  0.2500  0.5736  8 Sc 2.66-2.87



Repeat the sixth record exactly.
The following is a DFT calculation (meta-GGA r2SCAN) of an optimized crystal structure of Y3Al2Ni6.

Calculated values
Size of the total moment, μB/f.u.: 0.0
Space group: Im-3m (229)
ΔH_f (0 K), eV/atom: -0.528
E, eV for the cell shown: -304.21

Lattice parameters (Å, degrees): 7.6925 7.6925 7.6925 109.47 109.47 109.47
With the nearest neighbours (Å) after each atom.
Fractional positions:
Y  0.0000  0.2942  0.2942  8 Ni 2.78-2.98
Y  0.0000  0.7058  0.7058  8 Ni 2.78-2.98
Y  0.2942  0.0000  0.2942  8 Ni 2.78-2.98
Y  0.2942  0.2942  0.0000  8 Ni 2.78-2.98
Y  0.7058  0.0000  0.7058  8 Ni 2.78-2.98
Y  0.7058  0.7058  0.0000  8 Ni 2.78-2.98
Al  0.0000  0.0000  0.5000  6 Ni 2.45
Al  0.0000  0.5000  0.0000  6 Ni 2.45
Al  0.5000  0.0000  0.0000  6 Ni 2.45
Al  0.5000  0.5000  0.5000  6 Ni 2.45
Ni  0.0000  0.3331  0.6669  2 Al 2.45, 4 Ni 2.56
Ni  0.0000  0.6669  0.3331  2 Al 2.45, 4 Ni 2.56
Ni  0.3331  0.0000  0.6669  2 Al 2.45, 4 Ni 2.56
Ni  0.3331  0.3331  0.6661  2 Al 2.45, 4 Ni 2.56
Ni  0.3331  0.6661  0.3331  2 Al 2.45, 4 Ni 2.56
Ni  0.3331  0.6669  0.0000  2 Al 2.45, 4 Ni 2.56
Ni  0.3339  0.6669  0.6669  2 Al 2.45, 4 Ni 2.56
Ni  0.6661  0.3331  0.3331  2 Al 2.45, 4 Ni 2.56
Ni  0.6669  0.0000  0.3331  2 Al 2.45, 4 Ni 2.56
Ni  0.6669  0.3331  0.0000  2 Al 2.45, 4 Ni 2.56
Ni  0.6669  0.3339  0.6669  2 Al 2.45, 4 Ni 2.56
Ni  0.6669  0.6669  0.3339  2 Al 2.45, 4 Ni 2.56